No. 1
## NiH20Se2N2O14 (PBE+U)

Data for NiH20Se2N2O14 after structural relaxation. Values from VASP.

Calculated values
- Energy of formation from the pure elements: -43.05 eV/f.u.
- Total DFT energy (no corrections): -5.063 eV/atom
- Energy relative to the lowest polymorph listed for this composition: 0.000 eV per atom

Structure (Quantum ESPRESSO input):
```
&SYSTEM
  ibrav = 0, nat = 78, ntyp = 5
/
ATOMIC_SPECIES
H 1.01 H.upf
Se 78.96 Se.upf
O 16.00 O.upf
N 14.01 N.upf
Ni 58.69 Ni.upf
ATOMIC_POSITIONS angstrom
H 1.4602 5.4253 2.0642
Se 3.7300 1.7434 3.7767
O 1.4708 11.4645 5.8667
H 1.2493 10.5314 6.1149
O 5.9769 5.0711 -0.6910
N 7.7911 8.4335 1.9232
O 1.0372 8.7510 -0.1000
O 5.5136 10.5145 -1.4105
O 8.3353 7.3034 -1.0478
H 5.1500 2.1799 -0.1735
H 1.9325 1.0763 1.4677
H 3.0677 11.8471 3.1752
H 4.2902 4.6129 3.2366
H 6.7902 11.2900 3.9640
O 0.7423 9.4634 2.5449
H 3.9271 10.5480 2.4407
H 2.0844 3.8505 2.0354
Se 0.7979 8.1652 1.4627
O 3.0572 5.0427 -0.6273
Se 5.2743 11.1002 0.1522
H 3.2786 4.1096 -0.8755
H 7.0719 11.7673 2.4612
O 4.4532 7.2787 0.5674
H 5.9366 0.9965 0.7537
H 2.3439 11.6180 -0.3330
H 0.9235 0.7463 4.1702
O 7.5038 11.4929 3.3095
H 8.7666 1.8089 1.9261
O 6.5416 12.0972 0.6387
O 5.9471 7.8009 4.5562
O 8.2621 3.3802 1.3840
O 7.9671 4.0927 4.0289
H 7.5441 7.4183 1.8647
H 0.6008 4.1262 2.7988
O 6.9391 5.6754 1.9798
O 1.5005 1.3507 0.6195
O 3.7857 3.0416 2.6945
H 8.4035 8.7174 1.1302
H 2.1841 5.1962 5.5724
N 3.3147 10.8320 3.2337
H 3.8544 10.6637 4.1024
N 1.2133 4.4101 2.0057
O 3.8589 11.9620 0.2627
H 6.6905 4.8682 -1.3456
O 7.5336 1.3791 -1.9378
O 5.2186 9.8020 1.2344
Se 8.2064 4.6784 2.4662
O 5.1454 0.8816 3.6662
Ni 0.0000 0.0000 0.0000
O 8.9296 11.9868 -0.7431
H 2.5955 7.4981 3.7717
H 0.2377 11.0347 2.0028
H 2.3138 7.9754 5.2745
H 6.9199 8.9931 1.8936
N 5.6896 2.0117 0.6952
H 2.2142 1.5536 -0.0351
H 4.7141 8.2307 0.6923
H 2.4435 10.2723 3.2041
H 6.6605 1.2257 4.2619
H 6.4088 5.3455 0.1572
H 5.0772 2.2956 1.4883
H 7.7550 2.3122 -2.1860
O 2.0653 7.1682 1.9492
O 0.0748 0.8569 4.6720
O 2.4627 0.7464 3.2902
O 0.6690 5.5402 4.9767
O 3.0274 7.7726 4.6200
H 5.3999 5.6755 2.8597
H 3.6044 7.1681 1.0692
H 6.5608 2.5713 0.7249
H 6.8202 7.6475 -1.6435
H 5.7257 8.7341 4.8044
H 8.3307 8.6017 2.7919
H 0.6736 4.2419 1.1370
Ni 4.4764 6.4218 -1.3105
O 3.4908 2.3292 5.3394
O 4.5511 5.5649 3.3615
H 8.0808 12.0973 -0.2413
CELL_PARAMETERS angstrom
8.9528 0.0000 -2.6210
0.0000 12.8436 0.0000
0.0516 0.0000 6.5499
```

=====

No. 2
## Ti6FeBi9O27 (PBE+U)

Data for Ti6FeBi9O27 after structural relaxation. Values from VASP.

Calculated values
- Energy of formation from the pure elements: -67.36 eV/f.u.
- Total DFT energy (no corrections): -6.633 eV/atom

Structure (Quantum ESPRESSO input):
```
&SYSTEM
  ibrav = 0, nat = 43, ntyp = 4
/
ATOMIC_SPECIES
O 16.00 O.upf
Ti 47.87 Ti.upf
Bi 208.98 Bi.upf
Fe 55.84 Fe.upf
ATOMIC_POSITIONS angstrom
O 8.0480 4.6264 -3.0174
Ti 10.5411 12.3685 -3.4313
O 13.9521 14.3953 -2.7088
Bi 6.7622 3.2268 -2.2380
O 1.5488 1.6859 -0.9388
O 6.4385 2.1387 3.3063
Ti 12.0644 13.1318 -7.3128
O 8.2180 7.3594 -2.3726
O 15.5987 11.2920 -5.5651
O 13.5029 11.4586 -3.3657
O 13.7413 9.7245 -1.1670
Ti 5.3320 2.5647 1.5871
O 6.5050 3.8415 0.8761
O 4.0816 1.2037 2.3451
O 11.0015 11.9749 -6.6685
Ti 7.1897 8.7206 -1.3998
O 10.9278 10.6492 -4.1480
O 3.9126 2.6502 0.0576
Bi 4.0464 0.2706 -0.5918
O 10.3981 5.6452 -1.8541
Bi 12.0527 9.8801 -2.4866
O 7.8584 8.5538 -4.7634
O 4.7584 5.1794 -2.8843
O 11.2040 11.7195 -1.7703
O 10.6781 6.7306 0.5569
Ti 14.0409 11.1495 -6.6500
Bi 8.7212 6.2538 -0.4672
O 10.8064 8.5235 -1.7312
Bi 9.2153 10.0307 -5.5859
O 3.8588 4.2002 -2.3390
O 6.0276 7.4557 -0.6954
Bi 14.8676 12.9440 -4.1929
Fe 9.3353 6.0275 -3.7977
Bi 6.5073 7.0831 -3.9444
Ti 2.6989 2.9377 -1.6359
Bi 2.1841 3.2720 1.6344
O 4.2289 3.8761 2.7808
O 6.1222 0.9128 0.5831
O 8.4980 8.4447 0.0385
Bi 4.6846 5.9938 0.1187
O 15.9866 12.7956 -2.2250
O 13.4651 8.6542 -3.5446
O 13.5641 12.8917 -6.0489
CELL_PARAMETERS angstrom
0.6420 2.4882 5.5273
4.4099 -3.4674 1.0487
12.3942 13.4909 -7.5127
```

=====

No. 3
## Li2TiFeO4 (PBE+U)

Data for Li2TiFeO4 after structural relaxation. Values from VASP.

Calculated values
- Energy of formation from the pure elements: -20.50 eV/f.u.
- Total DFT energy (no corrections): -6.934 eV/atom
- Energy relative to the lowest polymorph listed for this composition: 0.008 eV per atom

Structure (Quantum ESPRESSO input):
```
&SYSTEM
  ibrav = 0, nat = 32, ntyp = 4
/
ATOMIC_SPECIES
O 16.00 O.upf
Li 6.94 Li.upf
Ti 47.87 Ti.upf
Fe 55.84 Fe.upf
ATOMIC_POSITIONS angstrom
O 0.8531 7.2288 -2.2475
O 3.6166 3.3062 -0.1258
Li 1.6678 3.7999 0.8575
Ti 5.2084 2.5803 -1.1246
Li 1.6364 1.1243 2.2604
Ti -0.7482 7.7862 -1.4051
O 2.8107 5.0182 -6.7914
O 1.7010 2.2370 -2.5059
Li 2.7358 6.7015 -3.3656
O 1.7317 4.7508 -3.7820
Li 3.6688 4.2723 -4.8201
Li 6.2577 2.9222 -3.9695
O 0.8350 4.6559 -1.1051
Li 2.6072 1.3549 -0.6070
Ti 0.0354 0.1042 -0.0087
Fe 2.8190 9.3784 -4.7229
O 1.9257 7.5544 -5.3230
O 4.5559 3.4837 -2.7801
O 3.5690 5.8441 -1.3443
O -0.2520 4.2630 1.8811
Fe 2.6809 4.0241 -1.9632
Ti 6.2398 5.6029 -5.2668
O 3.5368 0.4475 1.3734
Li 1.7457 6.4627 -0.5182
O 5.6371 3.7614 -5.7940
Li 4.2556 2.4557 1.6985
O 4.4599 0.9079 -1.6088
O 4.6328 6.1621 -4.4320
O 2.5364 2.9048 2.8642
Fe 5.3195 5.3648 -2.5199
Fe 5.1931 0.0133 0.2492
O 0.7777 1.7788 0.4676
CELL_PARAMETERS angstrom
-1.8788 4.8833 2.8984
5.1648 -2.6562 1.6428
2.1272 5.8221 -8.4352
```

=====

No. 4
## Ba2TaMnO6 (PBE+U)

Data for Ba2TaMnO6 after structural relaxation. Values from VASP.

Calculated values
- Energy of formation from the pure elements: -30.50 eV/f.u.
- Total DFT energy (no corrections): -7.926 eV/atom

Structure (Quantum ESPRESSO input):
```
&SYSTEM
  ibrav = 0, nat = 10, ntyp = 4
/
ATOMIC_SPECIES
O 16.00 O.upf
Ba 137.33 Ba.upf
Mn 54.94 Mn.upf
Ta 180.95 Ta.upf
ATOMIC_POSITIONS angstrom
O 3.2281 -5.1452 -0.9770
O 0.4593 -6.1106 -0.5457
O 0.7584 -7.9856 -2.8215
O 2.7104 -8.0380 -0.5918
O 3.5272 -7.0202 -3.2528
O 1.2761 -5.0928 -3.2067
Ba 0.9966 -3.2827 -0.9496
Mn 1.9932 -6.5654 -1.8993
Ba 2.9899 -9.8481 -2.8489
Ta 0.0000 0.0000 0.0000
CELL_PARAMETERS angstrom
4.4151 -3.7801 -0.0905
-1.0153 -5.6735 0.7555
0.5868 -3.6773 -4.4635
```

=====

No. 5
## Li3MnFe2B3O9 (PBE+U)

Data for Li3MnFe2B3O9 after structural relaxation. Values from VASP.

Calculated values
- Energy of formation from the pure elements: -42.97 eV/f.u.
- Total DFT energy (no corrections): -7.056 eV/atom
- Energy relative to the lowest polymorph listed for this composition: 0.001 eV per atom

Structure (Quantum ESPRESSO input):
```
&SYSTEM
  ibrav = 0, nat = 36, ntyp = 5
/
ATOMIC_SPECIES
O 16.00 O.upf
B 10.81 B.upf
Li 6.94 Li.upf
Fe 55.84 Fe.upf
Mn 54.94 Mn.upf
ATOMIC_POSITIONS angstrom
O -1.1882 0.5333 0.4549
B -3.5627 -2.6578 2.3303
O -11.5071 -1.5761 7.2722
B -10.3582 -2.3248 7.0107
Li -6.1162 -2.3522 3.9509
O -4.5512 0.1938 0.8667
Li -7.0657 1.1974 1.9250
O -11.3369 0.5331 5.5350
Fe -11.1361 0.5277 7.6838
Fe -8.7122 2.6508 4.2992
Li -2.8203 -0.6164 0.2294
Mn -3.3855 -3.5759 5.1944
O -12.7855 2.4144 5.1478
Mn -0.6083 -2.1173 2.0616
Li -13.8567 1.5439 6.5917
O -8.6268 2.3962 2.1415
B -11.6272 1.7080 4.8470
O -6.0738 0.9675 3.6709
O -11.6320 5.4087 4.3097
O -3.2822 -3.8356 3.0277
Fe -4.3292 0.1801 3.0062
O -10.7632 2.1768 3.8609
O -4.7153 -1.9298 2.6104
B -12.1214 6.5898 3.7616
B -6.8136 0.3532 4.6781
O -5.4699 -4.0556 4.7847
O -9.4567 -1.9024 6.0328
O -7.4917 -3.8119 6.0666
Li -9.6234 -0.2735 4.9077
B -4.8481 1.3712 0.1815
Fe -7.4065 -1.7639 6.7284
O -12.8903 1.3374 8.3382
Li -11.4142 3.8895 3.0235
O -6.3582 -0.8312 5.2535
O -8.0078 0.9232 5.1093
O -2.6773 -2.2189 1.3515
CELL_PARAMETERS angstrom
-1.5746 -1.6588 -2.1682
-1.4859 -5.8925 5.5871
-12.1344 6.5981 3.7646
```

=====

No. 6
## Li4Fe3Ni3O12 (PBE+U)

Data for Li4Fe3Ni3O12 after structural relaxation. Values from VASP.

Calculated values
- Energy of formation from the pure elements: -32.91 eV/f.u.
- Total DFT energy (no corrections): -5.456 eV/atom
- Energy relative to the lowest polymorph listed for this composition: 0.012 eV per atom

Structure (Quantum ESPRESSO input):
```
&SYSTEM
  ibrav = 0, nat = 22, ntyp = 4
/
ATOMIC_SPECIES
Ni 58.69 Ni.upf
O 16.00 O.upf
Fe 55.84 Fe.upf
Li 6.94 Li.upf
ATOMIC_POSITIONS angstrom
Ni 4.2803 6.5687 9.9823
O 4.3407 4.6160 10.0029
O 4.3407 4.1422 7.0487
O 1.3664 4.6160 7.0487
O 2.8535 6.8621 8.5258
O 2.7928 6.3038 11.3111
Ni 1.4268 2.1896 4.2629
O 2.9143 6.3038 5.7404
O 1.4268 0.2886 4.2629
Fe 2.8535 4.3791 11.3190
O 1.3664 4.1422 10.0029
Li 1.4268 2.1896 1.3602
Li 1.4268 2.1896 7.1656
O 2.8535 1.8961 8.5258
Fe 2.8535 4.3791 5.7326
O 2.9143 2.4544 11.3111
Fe 0.0000 0.0000 0.0000
O 1.4268 4.0905 4.2629
Ni 4.2803 6.5687 15.5950
Li 2.8535 4.3791 14.1485
Li 2.8535 4.3791 2.9030
O 2.7928 2.4544 5.7404
CELL_PARAMETERS angstrom
0.0000 4.3791 8.5258
2.8535 0.0000 8.5258
2.8535 4.3791 0.0000
```

=====

No. 7
## Li4VGa3O8 (PBE+U)

Data for Li4VGa3O8 after structural relaxation. Values from VASP.

Calculated values
- Energy of formation from the pure elements: -37.88 eV/f.u.
- Largest piezoelectric modulus: 1.21 C/m²
- Total DFT energy (no corrections): -6.005 eV/atom

Structure (Quantum ESPRESSO input):
```
&SYSTEM
  ibrav = 0, nat = 32, ntyp = 4
/
ATOMIC_SPECIES
O 16.00 O.upf
Ga 69.72 Ga.upf
Li 6.94 Li.upf
V 50.94 V.upf
ATOMIC_POSITIONS angstrom
O 3.6550 -1.5598 2.2218
Ga 2.0756 -1.8155 3.2009
Li 5.0162 -0.6327 3.3871
Ga 1.2449 -0.7619 7.4730
O -0.0552 -1.5615 6.3810
O 2.4037 -2.8944 4.6969
V 1.0464 1.0858 2.2780
Li 0.7210 -3.2877 5.7218
O -1.0353 1.3838 5.3643
O 1.6401 0.9388 6.7669
Ga -2.1062 -2.9725 4.3387
O 0.2172 2.7192 2.8891
Ga 0.2818 -4.3737 2.7796
O -1.7113 -1.2721 3.6308
Li 2.6186 0.7260 4.9981
Ga -1.3644 2.4633 3.8693
O -4.0380 0.1937 5.0846
O 1.3561 -0.1726 3.7110
O 3.2188 2.4338 4.1121
O -2.0825 4.1037 4.3784
O -3.4074 -3.7734 3.2447
O 4.2110 -0.5168 5.2288
Li -0.3091 -0.4128 4.7946
O 0.8593 -2.7282 2.0927
Li 1.5778 3.6454 4.0553
O -0.1342 0.2221 0.9766
Li -3.6603 -2.6236 1.6580
Li -2.7173 0.9895 6.3893
O -0.5988 -4.0842 4.4172
Li -0.7333 -1.4854 1.8617
Ga -3.1570 -0.0960 3.4471
V 4.3975 3.2975 5.4143
CELL_PARAMETERS angstrom
6.7903 -2.0665 2.4684
-0.0873 6.4890 3.8037
-6.0958 -5.2122 1.9235
```

=====

No. 8
## Fe3Co2SnP6O24 (PBE+U)

Data for Fe3Co2SnP6O24 after structural relaxation. Values from VASP.

Calculated values
- Energy of formation from the pure elements: -80.96 eV/f.u.
- Total DFT energy (no corrections): -6.925 eV/atom

Structure (Quantum ESPRESSO input):
```
&SYSTEM
  ibrav = 0, nat = 36, ntyp = 5
/
ATOMIC_SPECIES
O 16.00 O.upf
P 30.97 P.upf
Fe 55.84 Fe.upf
Co 58.93 Co.upf
Sn 118.71 Sn.upf
ATOMIC_POSITIONS angstrom
O 8.2728 3.6713 1.8025
O 11.0988 -3.6680 5.2827
O 11.5758 0.8151 2.8857
O 12.8421 -0.7822 6.3105
O 5.9958 -1.7024 2.2580
P 7.9815 3.0342 3.2352
O 8.2389 1.4953 3.1174
O 5.5257 0.9099 3.5476
O 10.4931 -0.9156 0.0361
P 7.2386 -1.7818 5.2731
Fe 6.8965 0.0000 2.5142
O 7.8503 -0.8402 4.1834
O 10.4316 -3.4940 2.8045
O 6.5356 0.7925 0.7774
O 10.9861 2.5594 1.2836
O 13.3963 1.7163 4.7905
O 8.7760 -2.8230 0.4220
O 10.6899 0.6782 5.3157
O 8.7374 -0.6551 1.7501
O 13.8603 -0.9341 3.5176
O 12.7837 0.8280 0.6611
Fe 12.5249 0.0000 4.5661
P 11.4255 -3.0321 3.8860
Fe 16.5555 0.0000 6.0355
P 10.3913 1.2888 6.7229
O 8.9132 0.9346 6.9694
O 8.3924 -2.6254 5.7982
O 6.5980 -0.8483 6.3963
O 10.6076 2.8401 6.6300
Co 9.7119 0.0000 3.5406
Sn 2.7820 0.0000 1.0142
O 8.9356 3.5410 4.3083
Co 19.2808 0.0000 7.0291
P 12.1901 1.7434 1.7888
O 11.1734 -1.4933 3.9894
P 9.0386 -1.2524 0.3356
CELL_PARAMETERS angstrom
7.3226 -4.3441 0.0000
7.3226 4.3441 0.0000
4.7455 0.0000 7.0692
```

=====

Taking the records one at a time from the top gives magnetic moment values of 0.051, 0.092, 0.500, 0.400, 0.722, 0.727, 0.000, 0.611 μB/atom.